--- i ---
This record from the Materials Project describes K2LiNd4Nb2O12 after structural relaxation. The functional is PBE.

Structure (POSCAR):
```
K2LiNd4Nb2O12
1.0
-5.4545 1.0521 -1.6035
3.4902 -4.2406 -4.2295
-2.9726 -5.3673 6.5816
Li O Nb Nd K
1 12 2 4 2
Cartesian
-4.5608 -6.9466 0.5327
1.1170 -5.1843 -2.2799
-1.4607 -2.4169 -1.5854
-3.4400 -3.8771 3.7809
-6.0839 -3.3678 3.0036
-0.7367 -9.2800 1.9428
-1.4584 -4.6876 -3.0371
-3.5102 -6.1253 2.1914
-4.3166 -1.8658 -2.4248
-0.9751 -5.1070 -0.0385
-3.6303 -8.7213 1.0922
-5.9677 -5.6530 1.4702
-3.9476 -3.3781 0.7812
-4.5673 -4.3597 2.2478
-0.3526 -4.1180 -1.5038
-1.7366 -7.3334 1.0930
-2.4446 -2.7006 -3.8796
-2.5559 -6.0919 4.6899
-3.1591 -1.0849 -0.3894
-3.6445 -4.9634 -1.2868
-1.2451 -3.4549 1.9653
```

## Properties
Space-group type: Cm, No. 8

--- ii ---
This record from the Materials Project describes K2LiNd4Nb2O12 after structural relaxation. The functional is PBE.

Structure (POSCAR):
```
K2LiNd4Nb2O12
1.0
5.8296 -0.0174 0.0270
-2.9416 6.2265 -1.7179
0.0414 0.0287 8.8006
O Li Nb Nd K
12 1 2 4 2
Cartesian
-1.4360 6.2361 7.0205
0.1791 4.0275 3.2972
4.3947 2.9018 0.6597
1.6370 0.6752 6.0878
-1.4497 5.6595 0.9958
4.3352 0.7125 6.0750
2.9504 2.2321 3.7676
1.3475 2.7324 1.0074
1.5315 6.2389 7.0132
1.6097 3.3132 6.4782
1.3158 5.5815 0.9792
-1.5312 3.3957 6.3303
1.6452 3.0523 2.8039
-0.1296 4.2717 1.3460
2.9653 2.0339 5.6584
2.8803 4.6246 -0.6786
0.0848 1.7299 7.7901
0.0580 5.1451 5.5912
2.9516 0.9650 1.3974
-0.1882 1.3843 3.7234
3.1073 5.0087 3.4654
```

## Properties
Space-group type: P1, No. 1

--- iii ---
This record from the Materials Project describes K2LiNd4Nb2O12 after structural relaxation. The functional is PBE.

Structure (POSCAR):
```
K2LiNd4Nb2O12
1.0
-2.9455 2.3459 4.3791
2.0401 -6.7111 1.1602
7.0847 5.0317 2.0988
O Nd Nb K Li
12 4 2 2 1
Cartesian
4.3551 3.7122 3.0054
2.2697 1.9002 4.3360
5.4165 1.9017 4.6908
2.9668 4.8017 5.0437
6.3620 5.5790 3.1781
0.9128 -1.0395 2.9954
4.8504 6.7761 5.4206
4.0443 2.9965 6.7284
3.3028 -4.1393 2.5989
1.8704 -3.0066 4.7147
-0.6227 0.1854 5.2819
3.9466 -1.1780 3.2971
-0.6003 -2.6385 4.8195
0.0052 1.2465 3.1476
6.1436 -0.5082 4.4333
6.9646 3.2415 2.9793
2.4988 -2.3981 2.9688
3.7214 2.9937 4.7387
2.2328 -0.2959 5.4695
3.0449 0.5843 1.7353
4.4285 2.7220 1.5609
```

## Properties
Space-group type: P1, No. 1

--- iv ---
This record from the Materials Project describes K2LiNd4Nb2O12 after structural relaxation. The functional is PBE.

Structure (POSCAR):
```
K2LiNd4Nb2O12
1.0
-4.6123 2.4202 2.5192
-0.5138 -6.9114 -0.9452
4.4807 0.6071 7.6202
O Nd Nb K Li
12 4 2 2 1
Cartesian
0.3448 -3.5339 4.0263
3.4349 -3.1937 5.8869
-3.4744 1.8231 1.8977
-1.1379 0.5971 0.6215
-2.2682 -4.3938 3.1420
1.0261 -1.9297 7.2026
-1.6715 -1.9543 1.9915
-4.0803 -0.6903 3.3072
-0.5108 1.6293 7.2175
1.6228 0.5097 6.0522
-0.9902 -0.3501 5.1678
-0.1346 -5.5133 1.9766
3.4067 -0.8881 7.0903
-4.0521 -2.9959 2.1039
1.2476 -4.2748 6.3911
-1.8931 0.3908 2.8031
-0.0586 -0.3247 6.8491
-0.5868 -3.5593 2.3451
-2.1189 -2.8035 5.4583
1.4735 -1.0805 3.7358
-0.0658 1.5137 5.0697
```

## Properties
Space-group type: C2/m, No. 12

Least stable of them? iii.